*P*
The following is a DFT calculation (meta-GGA r2SCAN) of a geometry-optimized Li3AsO4 structure.

a = 5.0446 Å, b = 6.2490 Å, c = 10.7411 Å
α = 90.00°, β = 90.00°, γ = 90.00°
Fractional positions:
Li1 0.8089 0.4962 0.6660
Li2 0.3090 0.7500 0.0778
Li3 0.6911 0.4962 0.1660
Li4 0.8089 0.0038 0.6660
Li5 0.6911 0.0038 0.1660
Li6 0.1911 0.9962 0.3340
Li7 0.1911 0.5038 0.3340
Li8 0.3089 0.9962 0.8340
Li9 0.1910 0.7500 0.5778
Li10 0.8090 0.2500 0.4222
Li11 0.6910 0.2500 0.9222
Li12 0.3089 0.5038 0.8340
As1 0.1866 0.2500 0.0866
As2 0.3134 0.2500 0.5866
As3 0.8134 0.7500 0.9134
As4 0.6866 0.7500 0.4134
O1 0.3488 0.7500 0.4130
O2 0.6512 0.2500 0.5870
O3 0.2976 0.0286 0.1624
O4 0.7976 0.5286 0.3376
O5 0.2976 0.4714 0.1624
O6 0.7024 0.5286 0.8376
O7 0.2024 0.0286 0.6624
O8 0.2970 0.2500 0.9376
O9 0.7970 0.7500 0.5624
O10 0.7030 0.7500 0.0624
O11 0.1512 0.7500 0.9130
O12 0.2030 0.2500 0.4376
O13 0.7024 0.9714 0.8376
O14 0.8488 0.2500 0.0870
O15 0.2024 0.4714 0.6624
O16 0.7976 0.9714 0.3376

- V (A^3/atom) = 10.58
- symmetry = Pnma (62)

*Q*
The following is a DFT calculation (meta-GGA r2SCAN) of a geometry-optimized Li3AsO4 structure.

a = 4.9383 Å, b = 5.3661 Å, c = 6.2323 Å
α = 90.00°, β = 90.00°, γ = 90.00°
Fractional positions:
Li1 0.0047 0.1648 0.5000
Li2 0.5041 0.3309 0.7477
Li3 0.0041 0.6691 0.2477
Li4 0.5047 0.8352 0.0000
Li5 0.5041 0.3309 0.2523
Li6 0.0041 0.6691 0.7523
O1 0.6530 0.1753 0.0000
O2 0.1083 0.8699 0.0000
O3 0.6083 0.1301 0.5000
O4 0.1530 0.8247 0.5000
O5 0.6108 0.6799 0.2765
O6 0.1108 0.3201 0.2235
O7 0.6108 0.6799 0.7235
O8 0.1108 0.3201 0.7765
As1 0.4975 0.8298 0.5000
As2 0.9975 0.1702 0.0000

- V (A^3/atom) = 10.32
- symmetry = Pmn2_1 (31)

Most favorable structure: *Q*. The second most favorable one is 6 meV/atom above it.

*P*
The following is a DFT calculation (meta-GGA r2SCAN) of a geometry-optimized Mg3As2 structure.

a = 10.7060 Å, b = 10.7060 Å, c = 10.7060 Å
α = 109.47°, β = 109.47°, γ = 109.47°
Fractional positions:
As1 0.2500 0.2280 0.9780
As2 0.2280 0.9780 0.2500
As3 0.5000 0.0000 0.0000
As4 0.0000 0.5000 0.0000
As5 0.5000 0.5000 0.5000
As6 0.2720 0.5220 0.7500
As7 0.0000 0.0000 0.5000
As8 0.7500 0.2720 0.5220
As9 0.4780 0.2500 0.7280
As10 0.5220 0.7500 0.2720
As11 0.7500 0.7720 0.0220
As12 0.7280 0.4780 0.2500
As13 0.7720 0.0220 0.7500
As14 0.0220 0.7500 0.7720
As15 0.9780 0.2500 0.2280
As16 0.2500 0.7280 0.4780
Mg1 0.2658 0.0070 0.0306
Mg2 0.5306 0.5236 0.7647
Mg3 0.2342 0.2647 0.7411
Mg4 0.4930 0.7589 0.0236
Mg5 0.9764 0.5070 0.2411
Mg6 0.7353 0.2589 0.7658
Mg7 0.7589 0.0236 0.4930
Mg8 0.0236 0.4930 0.7589
Mg9 0.9930 0.9694 0.7342
Mg10 0.2589 0.7658 0.7353
Mg11 0.0070 0.0306 0.2658
Mg12 0.4694 0.4764 0.2353
Mg13 0.7658 0.7353 0.2589
Mg14 0.4764 0.2353 0.4694
Mg15 0.7342 0.9930 0.9694
Mg16 0.7411 0.2342 0.2647
Mg17 0.7647 0.5306 0.5236
Mg18 0.2353 0.4694 0.4764
Mg19 0.2647 0.7411 0.2342
Mg20 0.5236 0.7647 0.5306
Mg21 0.2411 0.9764 0.5070
Mg22 0.9694 0.7342 0.9930
Mg23 0.5070 0.2411 0.9764
Mg24 0.0306 0.2658 0.0070

- V (A^3/atom) = 23.62
- symmetry = Ia-3 (206)

*Q*
The following is a DFT calculation (meta-GGA r2SCAN) of a geometry-optimized Mg3As2 structure.

a = 4.2610 Å, b = 4.2610 Å, c = 6.7384 Å
α = 90.00°, β = 90.00°, γ = 120.00°
Fractional positions:
Mg1 0.0000 0.0000 0.0000
Mg2 0.3333 0.6667 0.6427
Mg3 0.6667 0.3333 0.3573
As1 0.3333 0.6667 0.2330
As2 0.6667 0.3333 0.7670

- V (A^3/atom) = 21.19
- symmetry = P-3m1 (164)

Most favorable structure: *P*. The second most favorable one is 32 meV/atom above it.

*P*
The following is a DFT calculation (meta-GGA r2SCAN) of a geometry-optimized Ni3As2O8 structure.

a = 9.5526 Å, b = 5.7638 Å, c = 10.1720 Å
α = 87.11°, β = 90.00°, γ = 90.00°
Fractional positions:
O1 0.2248 0.8869 0.2714
O2 0.9784 0.8695 0.1181
O3 0.7332 0.3441 0.4665
O4 0.5042 0.6171 0.8678
O5 0.5119 0.1267 0.8772
O6 0.2752 0.8869 0.7714
O7 0.2544 0.1063 0.5462
O8 0.2349 0.3695 0.3043
O9 0.7668 0.3441 0.9665
O10 0.4881 0.8733 0.1228
O11 0.4784 0.1305 0.3819
O12 0.7752 0.1131 0.7286
O13 0.2332 0.6559 0.0335
O14 0.7651 0.6305 0.6957
O15 0.9925 0.6165 0.8665
O16 0.0119 0.8733 0.6228
O17 0.9958 0.6171 0.3678
O18 0.5216 0.8695 0.6181
O19 0.7248 0.1131 0.2286
O20 0.4925 0.3835 0.6335
O21 0.7456 0.8937 0.4538
O22 0.7544 0.8937 0.9538
O23 0.9881 0.1267 0.3772
O24 0.7349 0.6305 0.1957
O25 0.2668 0.6559 0.5335
O26 0.4958 0.3829 0.1322
O27 0.5075 0.6165 0.3665
O28 0.0216 0.1305 0.8819
O29 0.2456 0.1063 0.0462
O30 0.0042 0.3829 0.6322
O31 0.0075 0.3835 0.1335
O32 0.2651 0.3695 0.8043
As1 0.3446 0.8680 0.6178
As2 0.0564 0.3755 0.2950
As3 0.6554 0.1320 0.3822
As4 0.5564 0.6245 0.2050
As5 0.4436 0.3755 0.7950
As6 0.1554 0.8680 0.1178
As7 0.8446 0.1320 0.8822
As8 0.9436 0.6245 0.7050
Ni1 0.8635 0.8581 0.2846
Ni2 0.3773 0.8637 0.9422
Ni3 0.8773 0.1363 0.5578
Ni4 0.8649 0.6151 0.0352
Ni5 0.6365 0.8581 0.7846
Ni6 0.3635 0.1419 0.2154
Ni7 0.6351 0.6151 0.5352
Ni8 0.1227 0.8637 0.4422
Ni9 0.1351 0.3849 0.9648
Ni10 0.1365 0.1419 0.7154
Ni11 0.3649 0.3849 0.4648
Ni12 0.6227 0.1363 0.0578

- V (A^3/atom) = 10.76
- symmetry = P2_1/c (14)

*Q*
The following is a DFT calculation (meta-GGA r2SCAN) of a geometry-optimized Ni3As2O8 structure.

a = 5.9079 Å, b = 6.3669 Å, c = 8.1459 Å
α = 90.00°, β = 90.00°, γ = 117.67°
Fractional positions:
As1 0.1249 0.2492 0.3842
As2 0.3752 0.7508 0.8842
As3 0.8752 0.7508 0.6158
As4 0.6250 0.2493 0.1158
O1 0.0018 0.0034 0.2507
O2 0.1401 0.7582 0.0008
O3 0.6177 0.7582 0.0009
O4 0.7522 0.5046 0.7358
O5 0.5018 0.0034 0.2493
O6 0.9981 0.9966 0.7493
O7 0.3823 0.2418 0.9992
O8 0.3599 0.2417 0.5009
O9 0.2522 0.5046 0.7642
O10 0.2478 0.4954 0.2642
O11 0.8599 0.2417 0.9991
O12 0.8824 0.2418 0.5008
O13 0.6401 0.7582 0.4992
O14 0.7478 0.4954 0.2358
O15 0.4981 0.9966 0.7507
O16 0.1177 0.7582 0.4991
Ni1 0.3826 0.2654 0.7501
Ni2 0.8826 0.2654 0.7499
Ni3 0.6173 0.7346 0.2500
Ni4 0.0000 0.0000 0.0000
Ni5 0.1173 0.7346 0.2500
Ni6 0.5000 0.0000 0.5000

- V (A^3/atom) = 10.44
- symmetry = Cmce (64)

Most favorable structure: *Q*. The second most favorable one is 7 meV/atom above it.

*P*
The following is a DFT calculation (meta-GGA r2SCAN) of a geometry-optimized PrAsO4 structure.

a = 6.8995 Å, b = 6.8996 Å, c = 6.8995 Å
α = 136.14°, β = 136.14°, γ = 63.76°
Fractional positions:
Pr1 0.0000 0.0000 0.0000
Pr2 0.7500 0.2500 0.5000
As1 0.5000 0.5000 0.0000
As2 0.2500 0.7500 0.5000
O1 0.0384 0.4271 0.1203
O2 0.5729 0.6933 0.6114
O3 0.1771 0.5567 0.8886
O4 0.0819 0.9616 0.3887
O5 0.6681 0.2884 0.1113
O6 0.4433 0.3319 0.6204
O7 0.3067 0.9181 0.8796
O8 0.7116 0.8229 0.3797

- V (A^3/atom) = 12.97
- symmetry = I4_1/a (88)

*Q*
The following is a DFT calculation (meta-GGA r2SCAN) of a geometry-optimized PrAsO4 structure.

a = 6.1260 Å, b = 6.1260 Å, c = 6.1260 Å
α = 106.40°, β = 106.40°, γ = 115.80°
Fractional positions:
O1 0.6667 0.4887 0.8220
O2 0.2387 0.9167 0.3220
O3 0.5113 0.3333 0.1780
O4 0.0833 0.4054 0.3220
O5 0.6667 0.8446 0.1780
O6 0.1554 0.3333 0.8220
O7 0.0833 0.7613 0.6780
O8 0.5946 0.9167 0.6780
Pr1 0.0000 0.0000 0.0000
Pr2 0.7500 0.2500 0.5000
As1 0.5000 0.5000 0.0000
As2 0.2500 0.7500 0.5000

- V (A^3/atom) = 14.61
- symmetry = I4_1/amd (141)

Most favorable structure: *P*. The second most favorable one is 7 meV/atom above it.